# Sm2USe5 PBE relaxed
data_Sm2USe5
_cell_length_a 12.380
_cell_length_b 8.377
_cell_length_c 7.817
_cell_angle_alpha 90.00
_cell_angle_beta 90.00
_cell_angle_gamma 90.00
_symmetry_space_group_name_H-M 'P n m a'
_symmetry_Int_Tables_number 62
loop_
_symmetry_equiv_pos_as_xyz
'x,y,z'
'-x,-y,-z'
'-x+1/2,-y,z+1/2'
'x+1/2,y,-z+1/2'
'x+1/2,-y+1/2,-z+1/2'
'-x+1/2,y+1/2,z+1/2'
'-x,y+1/2,-z'
'x,-y+1/2,z'
loop_
_atom_site_label
_atom_site_fract_x
_atom_site_fract_y
_atom_site_fract_z
_atom_site_occupancy
Sm1 0.179 0.002 0.027 1
U1 0.009 0.750 0.574 1
Se1 0.001 0.250 0.042 1
Se2 0.095 0.045 0.668 1
Se3 0.187 0.750 0.331 1
Se4 0.216 0.250 0.306 1
# Total energy, eV for the cell shown: -204.20
# DFT formation energy, eV/atom: -1.900
# Volume, A^3/atom: 25.34
# Calculated density, g/cm3: 7.6

=====

# SmY4Se5 PBE relaxed
data_SmY4Se5
_cell_length_a 4.1255
_cell_length_b 4.1255
_cell_length_c 49.9514
_cell_angle_alpha 90.00
_cell_angle_beta 90.00
_cell_angle_gamma 120.00
_symmetry_space_group_name_H-M 'R -3 m'
_symmetry_Int_Tables_number 166
_symmetry_space_group_name_Hall '-R 3 2"'
loop_
_atom_site_label
_atom_site_fract_x
_atom_site_fract_y
_atom_site_fract_z
_atom_site_occupancy
Sm1 0.0000 0.0000 0.0000 1
Y1 0.0000 0.0000 0.2000 1
Y2 0.0000 0.0000 0.4002 1
Se1 0.0000 0.0000 0.1001 1
Se2 0.0000 0.0000 0.2987 1
Se3 0.0000 0.0000 0.5000 1
# Total energy, eV for the cell shown: -197.29
# DFT formation energy, eV/atom: -2.006
# Volume, A^3/atom: 24.54
# Calculated density, g/cm3: 6.1

=====

# Sr2SnSe5 PBE relaxed
data_Sr2SnSe5
_cell_length_a 12.255
_cell_length_b 16.784
_cell_length_c 8.744
_cell_angle_alpha 90.00
_cell_angle_beta 90.00
_cell_angle_gamma 90.00
_symmetry_space_group_name_H-M 'P 21 21 2'
_symmetry_Int_Tables_number 18
loop_
_symmetry_equiv_pos_as_xyz
'x,y,z'
'-x,-y,z'
'x+1/2,-y+1/2,-z'
'-x+1/2,y+1/2,-z'
loop_
_atom_site_label
_atom_site_fract_x
_atom_site_fract_y
_atom_site_fract_z
_atom_site_occupancy
Sr1 0.115 0.179 0.244 1
Sr2 0.117 0.179 0.741 1
Sr3 0.245 0.430 0.258 1
Sr4 0.247 0.430 0.760 1
Sn1 0.053 0.604 0.996 1
Sn2 0.092 0.674 0.516 1
Se1 0.000 0.000 0.152 1
Se2 0.000 0.000 0.657 1
Se3 0.000 0.500 0.222 1
Se4 0.000 0.500 0.776 1
Se5 0.058 0.890 0.987 1
Se6 0.062 0.892 0.486 1
Se7 0.119 0.325 0.506 1
Se8 0.129 0.738 0.783 1
Se9 0.131 0.318 0.006 1
Se10 0.133 0.751 0.269 1
Se11 0.241 0.073 0.986 1
Se12 0.247 0.570 0.513 1
# Total energy, eV for the cell shown: -273.98
# DFT formation energy, eV/atom: -1.467
# Volume, A^3/atom: 28.10
# Calculated density, g/cm3: 5.1

=====

# Sn4TeSe3 PBE relaxed
data_Sn4TeSe3
_cell_length_a 4.717
_cell_length_b 4.262
_cell_length_c 11.977
_cell_angle_alpha 90.00
_cell_angle_beta 90.48
_cell_angle_gamma 90.00
_symmetry_space_group_name_H-M 'P 1 m 1'
_symmetry_Int_Tables_number 6
loop_
_symmetry_equiv_pos_as_xyz
'x,y,z'
'x,-y,z'
loop_
_atom_site_label
_atom_site_fract_x
_atom_site_fract_y
_atom_site_fract_z
_atom_site_occupancy
Sn1 0.000 0.000 0.000 1
Sn2 0.204 0.500 0.756 1
Sn3 0.502 0.500 0.254 1
Sn4 0.739 0.000 0.489 1
Te1 0.636 0.000 0.734 1
Se1 0.116 0.000 0.228 1
Se2 0.122 0.500 0.525 1
Se3 0.614 0.500 0.027 1
# Total energy, eV for the cell shown: -32.68
# DFT formation energy, eV/atom: -0.553
# Volume, A^3/atom: 30.10
# Total magnetization, μB per atom: 0.001
# Calculated density, g/cm3: 5.8